(1)
{"formula": "AsC18F17", "functional": "PBE-GGA", "state": "optimized geometry", "crystal_system": "orthorhombic", "formation_energy_ev_per_atom": -0.9910, "e_tot_ev_per_atom": -6.42, "energy_corrected_mp2020_ev_per_atom": -6.639, "lattice_angstrom": [[9.015, 0.000, 0.000], [0.000, 11.328, 0.000], [0.000, 0.000, 18.525]], "species": ["As", "As", "As", "As", "C", "C", "C", "C", "C", "C", "C", "C", "C", "C", "C", "C", "C", "C", "C", "C", "C", "C", "C", "C", "C", "C", "C", "C", "C", "C", "C", "C", "C", "C", "C", "C", "C", "C", "C", "C", "C", "C", "C", "C", "C", "C", "C", "C", "C", "C", "C", "C", "C", "C", "C", "C", "C", "C", "C", "C", "C", "C", "C", "C", "C", "C", "C", "C", "C", "C", "C", "C", "C", "C", "C", "C", "F", "F", "F", "F", "F", "F", "F", "F", "F", "F", "F", "F", "F", "F", "F", "F", "F", "F", "F", "F", "F", "F", "F", "F", "F", "F", "F", "F", "F", "F", "F", "F", "F", "F", "F", "F", "F", "F", "F", "F", "F", "F", "F", "F", "F", "F", "F", "F", "F", "F", "F", "F", "F", "F", "F", "F", "F", "F", "F", "F", "F", "F", "F", "F", "F", "F", "F", "F"], "frac_coords": [[0.000, 0.131, 0.250], [0.000, 0.869, 0.750], [0.500, 0.369, 0.750], [0.500, 0.631, 0.250], [0.000, 0.302, 0.250], [0.000, 0.451, 0.750], [0.000, 0.549, 0.250], [0.000, 0.698, 0.750], [0.012, 0.061, 0.646], [0.012, 0.939, 0.146], [0.028, 0.122, 0.917], [0.028, 0.878, 0.417], [0.029, 0.487, 0.186], [0.029, 0.513, 0.686], [0.030, 0.364, 0.187], [0.030, 0.636, 0.687], [0.059, 0.045, 0.336], [0.059, 0.955, 0.836], [0.141, 0.077, 0.961], [0.141, 0.923, 0.461], [0.171, 0.088, 0.381], [0.171, 0.912, 0.881], [0.212, 0.029, 0.443], [0.212, 0.971, 0.943], [0.288, 0.471, 0.943], [0.288, 0.529, 0.443], [0.329, 0.412, 0.881], [0.329, 0.588, 0.381], [0.359, 0.423, 0.461], [0.359, 0.577, 0.961], [0.441, 0.455, 0.836], [0.441, 0.545, 0.336], [0.470, 0.136, 0.687], [0.470, 0.864, 0.187], [0.471, 0.013, 0.686], [0.471, 0.987, 0.186], [0.472, 0.378, 0.417], [0.472, 0.622, 0.917], [0.488, 0.439, 0.146], [0.488, 0.561, 0.646], [0.500, 0.049, 0.250], [0.500, 0.198, 0.750], [0.500, 0.802, 0.250], [0.500, 0.951, 0.750], [0.512, 0.439, 0.354], [0.512, 0.561, 0.854], [0.528, 0.378, 0.083], [0.528, 0.622, 0.583], [0.529, 0.013, 0.814], [0.529, 0.987, 0.314], [0.530, 0.136, 0.813], [0.530, 0.864, 0.313], [0.559, 0.455, 0.664], [0.559, 0.545, 0.164], [0.641, 0.423, 0.039], [0.641, 0.577, 0.539], [0.671, 0.412, 0.619], [0.671, 0.588, 0.119], [0.712, 0.471, 0.557], [0.712, 0.529, 0.057], [0.788, 0.029, 0.057], [0.788, 0.971, 0.557], [0.829, 0.088, 0.119], [0.829, 0.912, 0.619], [0.859, 0.077, 0.539], [0.859, 0.923, 0.039], [0.941, 0.045, 0.164], [0.941, 0.955, 0.664], [0.970, 0.364, 0.313], [0.970, 0.636, 0.813], [0.971, 0.487, 0.314], [0.971, 0.513, 0.814], [0.972, 0.122, 0.583], [0.972, 0.878, 0.083], [0.988, 0.061, 0.854], [0.988, 0.939, 0.354], [0.000, 0.333, 0.750], [0.000, 0.667, 0.250], [0.042, 0.222, 0.565], [0.042, 0.778, 0.065], [0.057, 0.454, 0.625], [0.057, 0.546, 0.125], [0.058, 0.307, 0.124], [0.058, 0.693, 0.624], [0.119, 0.106, 0.688], [0.119, 0.894, 0.188], [0.178, 0.135, 0.021], [0.178, 0.865, 0.521], [0.184, 0.426, 0.988], [0.184, 0.574, 0.488], [0.192, 0.130, 0.218], [0.192, 0.870, 0.718], [0.238, 0.192, 0.365], [0.238, 0.808, 0.865], [0.262, 0.308, 0.865], [0.262, 0.692, 0.365], [0.308, 0.370, 0.718], [0.308, 0.630, 0.218], [0.316, 0.074, 0.488], [0.316, 0.926, 0.988], [0.322, 0.365, 0.521], [0.322, 0.635, 0.021], [0.381, 0.394, 0.188], [0.381, 0.606, 0.688], [0.442, 0.193, 0.624], [0.442, 0.807, 0.124], [0.443, 0.046, 0.125], [0.443, 0.954, 0.625], [0.458, 0.278, 0.065], [0.458, 0.722, 0.565], [0.500, 0.167, 0.250], [0.500, 0.833, 0.750], [0.542, 0.278, 0.435], [0.542, 0.722, 0.935], [0.557, 0.046, 0.375], [0.557, 0.954, 0.875], [0.558, 0.193, 0.876], [0.558, 0.807, 0.376], [0.619, 0.394, 0.312], [0.619, 0.606, 0.812], [0.678, 0.365, 0.979], [0.678, 0.635, 0.479], [0.684, 0.074, 0.012], [0.684, 0.926, 0.512], [0.692, 0.370, 0.782], [0.692, 0.630, 0.282], [0.738, 0.308, 0.635], [0.738, 0.692, 0.135], [0.762, 0.192, 0.135], [0.762, 0.808, 0.635], [0.808, 0.130, 0.282], [0.808, 0.870, 0.782], [0.816, 0.426, 0.512], [0.816, 0.574, 0.012], [0.822, 0.135, 0.479], [0.822, 0.865, 0.979], [0.881, 0.106, 0.812], [0.881, 0.894, 0.312], [0.942, 0.307, 0.376], [0.942, 0.693, 0.876], [0.943, 0.454, 0.875], [0.943, 0.546, 0.375], [0.958, 0.222, 0.935], [0.958, 0.778, 0.435]]}

---

(2)
{"formula": "BaSrI4", "functional": "PBE-GGA", "state": "optimized geometry", "crystal_system": "tetragonal", "formation_energy_ev_per_atom": -1.9829, "e_tot_ev_per_atom": -3.35, "energy_corrected_mp2020_ev_per_atom": -3.600, "lattice_angstrom": [[-4.114, 4.114, 8.205], [4.114, -4.114, 8.205], [4.114, 4.114, -8.205]], "species": ["Ba", "Ba", "Sr", "Sr", "I", "I", "I", "I", "I", "I", "I", "I"], "frac_coords": [[0.375, 0.125, 0.250], [0.625, 0.875, 0.750], [0.125, 0.375, 0.750], [0.875, 0.625, 0.250], [0.008, 0.265, 0.262], [0.235, 0.997, 0.743], [0.246, 0.508, 0.243], [0.497, 0.254, 0.762], [0.503, 0.746, 0.238], [0.754, 0.492, 0.757], [0.765, 0.003, 0.257], [0.992, 0.735, 0.738]]}

---

(3)
{"formula": "SrAl2S4", "functional": "PBE-GGA", "state": "optimized geometry", "crystal_system": "triclinic", "formation_energy_ev_per_atom": -1.7429, "e_tot_ev_per_atom": -5.13, "energy_corrected_mp2020_ev_per_atom": -5.418, "lattice_angstrom": [[11.993, 0.000, 0.000], [-5.760, 10.520, 0.000], [-3.117, -5.260, 10.612]], "species": ["Sr", "Sr", "Sr", "Sr", "Sr", "Sr", "Sr", "Sr", "Al", "Al", "Al", "Al", "Al", "Al", "Al", "Al", "Al", "Al", "Al", "Al", "Al", "Al", "Al", "Al", "S", "S", "S", "S", "S", "S", "S", "S", "S", "S", "S", "S", "S", "S", "S", "S", "S", "S", "S", "S", "S", "S", "S", "S", "S", "S", "S", "S", "S", "S", "S", "S"], "frac_coords": [[0.000, 0.000, 0.000], [0.000, 0.496, 0.005], [0.250, 0.247, 0.507], [0.255, 0.748, 0.506], [0.504, 0.998, 0.003], [0.507, 0.499, 0.009], [0.755, 0.748, 0.504], [0.758, 0.251, 0.510], [0.010, 0.654, 0.755], [0.018, 0.158, 0.754], [0.241, 0.013, 0.757], [0.248, 0.518, 0.760], [0.271, 0.995, 0.254], [0.348, 0.493, 0.259], [0.408, 0.760, 0.259], [0.483, 0.260, 0.255], [0.510, 0.736, 0.756], [0.516, 0.240, 0.758], [0.737, 0.593, 0.753], [0.745, 0.093, 0.756], [0.765, 0.990, 0.256], [0.846, 0.490, 0.253], [0.908, 0.758, 0.252], [0.982, 0.260, 0.254], [0.020, 0.464, 0.254], [0.038, 0.977, 0.756], [0.043, 0.486, 0.756], [0.063, 0.960, 0.252], [0.186, 0.288, 0.257], [0.217, 0.816, 0.759], [0.224, 0.320, 0.761], [0.230, 0.784, 0.251], [0.292, 0.542, 0.593], [0.301, 0.047, 0.092], [0.303, 0.049, 0.594], [0.303, 0.549, 0.098], [0.454, 0.202, 0.414], [0.455, 0.201, 0.917], [0.455, 0.704, 0.414], [0.457, 0.708, 0.919], [0.525, 0.463, 0.262], [0.534, 0.933, 0.752], [0.536, 0.438, 0.757], [0.565, 0.962, 0.253], [0.687, 0.289, 0.260], [0.715, 0.772, 0.759], [0.720, 0.276, 0.761], [0.733, 0.792, 0.258], [0.793, 0.541, 0.590], [0.796, 0.548, 0.096], [0.798, 0.042, 0.091], [0.799, 0.047, 0.591], [0.958, 0.201, 0.917], [0.962, 0.712, 0.918], [0.963, 0.209, 0.416], [0.963, 0.713, 0.419]]}

---

(4)
{"formula": "Cu5P3O13", "functional": "PBE-GGA", "state": "optimized geometry", "crystal_system": "triclinic", "formation_energy_ev_per_atom": -1.7752, "e_tot_ev_per_atom": -6.16, "energy_corrected_mp2020_ev_per_atom": -6.588, "lattice_angstrom": [[6.186, 0.000, 0.000], [-0.008, 8.093, 0.000], [-0.042, -0.372, 9.949]], "species": ["Cu", "Cu", "Cu", "Cu", "Cu", "Cu", "Cu", "Cu", "Cu", "Cu", "P", "P", "P", "P", "P", "P", "O", "O", "O", "O", "O", "O", "O", "O", "O", "O", "O", "O", "O", "O", "O", "O", "O", "O", "O", "O", "O", "O", "O", "O", "O", "O"], "frac_coords": [[0.001, 0.136, 0.278], [0.245, 0.150, 0.578], [0.249, 0.229, 0.961], [0.253, 0.429, 0.387], [0.496, 0.864, 0.721], [0.504, 0.136, 0.279], [0.747, 0.571, 0.613], [0.751, 0.771, 0.039], [0.755, 0.850, 0.422], [0.999, 0.864, 0.722], [0.248, 0.511, 0.729], [0.250, 0.841, 0.388], [0.251, 0.868, 0.995], [0.749, 0.132, 0.005], [0.750, 0.159, 0.612], [0.752, 0.489, 0.271], [0.042, 0.625, 0.718], [0.043, 0.902, 0.313], [0.056, 0.761, 0.029], [0.247, 0.911, 0.536], [0.248, 0.390, 0.603], [0.249, 0.424, 0.860], [0.250, 0.042, 0.071], [0.250, 0.911, 0.839], [0.252, 0.655, 0.387], [0.253, 0.194, 0.381], [0.446, 0.763, 0.031], [0.455, 0.625, 0.718], [0.458, 0.903, 0.315], [0.542, 0.097, 0.685], [0.545, 0.375, 0.282], [0.554, 0.237, 0.969], [0.747, 0.806, 0.619], [0.748, 0.345, 0.613], [0.750, 0.089, 0.161], [0.750, 0.958, 0.929], [0.751, 0.576, 0.140], [0.752, 0.610, 0.397], [0.753, 0.089, 0.464], [0.944, 0.239, 0.971], [0.957, 0.098, 0.687], [0.958, 0.375, 0.282]]}

---

(5)
{"formula": "Ti3Cu3Te2O16", "functional": "PBE-GGA", "state": "optimized geometry", "crystal_system": "monoclinic", "formation_energy_ev_per_atom": -1.9298, "e_tot_ev_per_atom": -6.53, "energy_corrected_mp2020_ev_per_atom": -6.990, "lattice_angstrom": [[5.164, -3.004, 0.000], [5.164, 3.004, 0.000], [-0.243, 0.000, 9.299]], "species": ["Ti", "Ti", "Ti", "Cu", "Cu", "Cu", "Te", "Te", "O", "O", "O", "O", "O", "O", "O", "O", "O", "O", "O", "O", "O", "O", "O", "O"], "frac_coords": [[0.000, 0.000, 0.000], [0.326, 0.823, 0.496], [0.823, 0.326, 0.496], [0.331, 0.331, 0.503], [0.502, 0.994, 0.997], [0.994, 0.502, 0.997], [0.491, 0.491, 0.218], [0.823, 0.823, 0.724], [0.120, 0.690, 0.859], [0.159, 0.159, 0.412], [0.159, 0.159, 0.906], [0.206, 0.654, 0.356], [0.329, 0.329, 0.111], [0.331, 0.809, 0.107], [0.502, 0.502, 0.601], [0.511, 0.973, 0.609], [0.639, 0.639, 0.363], [0.654, 0.206, 0.356], [0.681, 0.681, 0.864], [0.690, 0.120, 0.859], [0.809, 0.331, 0.107], [0.832, 0.832, 0.098], [0.973, 0.511, 0.609], [0.981, 0.981, 0.603]]}

---

(6)
{"formula": "CuTe", "functional": "PBE-GGA", "state": "optimized geometry", "crystal_system": "orthorhombic", "formation_energy_ev_per_atom": -0.1758, "e_tot_ev_per_atom": -3.59, "energy_corrected_mp2020_ev_per_atom": -3.797, "lattice_angstrom": [[3.870, 0.000, 0.000], [0.000, 5.442, 0.000], [0.000, 0.000, 3.903]], "species": ["Cu", "Cu", "Te", "Te"], "frac_coords": [[0.250, 0.250, 0.209], [0.750, 0.750, 0.791], [0.250, 0.750, 0.283], [0.750, 0.250, 0.717]]}

---

(7)
{"formula": "NaTi2TlO6", "functional": "PBE-GGA", "state": "optimized geometry", "crystal_system": "tetragonal", "formation_energy_ev_per_atom": -2.5342, "e_tot_ev_per_atom": -7.04, "energy_corrected_mp2020_ev_per_atom": -7.451, "lattice_angstrom": [[-2.731, 2.731, 4.110], [2.731, -2.731, 4.110], [2.731, 2.731, -4.110]], "species": ["Na", "Ti", "Ti", "Tl", "O", "O", "O", "O", "O", "O"], "frac_coords": [[0.000, 0.000, 0.000], [0.241, 0.741, 0.500], [0.741, 0.241, 0.500], [0.520, 0.520, 0.000], [0.458, 0.458, 0.507], [0.458, 0.951, 0.000], [0.460, 0.960, 0.500], [0.951, 0.458, 0.000], [0.951, 0.951, 0.493], [0.960, 0.460, 0.500]]}

---

(8)
{"formula": "Tm5SbPd2", "functional": "PBE-GGA", "state": "optimized geometry", "crystal_system": "tetragonal", "formation_energy_ev_per_atom": -0.7890, "e_tot_ev_per_atom": -5.40, "lattice_angstrom": [[-3.815, 3.815, 6.814], [3.815, -3.815, 6.814], [3.815, 3.815, -6.814]], "species": ["Tm", "Tm", "Tm", "Tm", "Tm", "Tm", "Tm", "Tm", "Tm", "Tm", "Sb", "Sb", "Pd", "Pd", "Pd", "Pd"], "frac_coords": [[0.000, 0.000, 0.000], [0.015, 0.515, 0.815], [0.200, 0.015, 0.500], [0.300, 0.800, 0.815], [0.485, 0.300, 0.500], [0.500, 0.500, 0.000], [0.515, 0.700, 0.500], [0.700, 0.200, 0.185], [0.800, 0.985, 0.500], [0.985, 0.485, 0.185], [0.250, 0.250, 0.000], [0.750, 0.750, 0.000], [0.136, 0.364, 0.500], [0.364, 0.864, 0.228], [0.636, 0.136, 0.772], [0.864, 0.636, 0.500]]}

---

(9)
{"formula": "CsRb2AuBr6", "functional": "PBE-GGA", "state": "optimized geometry", "crystal_system": "cubic", "formation_energy_ev_per_atom": -1.3116, "e_tot_ev_per_atom": -2.59, "energy_corrected_mp2020_ev_per_atom": -2.907, "lattice_angstrom": [[0.000, 5.981, 5.981], [5.981, 0.000, 5.981], [5.981, 5.981, 0.000]], "species": ["Cs", "Rb", "Rb", "Au", "Br", "Br", "Br", "Br", "Br", "Br"], "frac_coords": [[0.000, 0.000, 0.000], [0.250, 0.250, 0.250], [0.750, 0.750, 0.750], [0.500, 0.500, 0.500], [0.277, 0.277, 0.723], [0.277, 0.723, 0.277], [0.277, 0.723, 0.723], [0.723, 0.277, 0.277], [0.723, 0.277, 0.723], [0.723, 0.723, 0.277]]}

---

(10)
{"formula": "MgF2", "functional": "PBE-GGA", "state": "optimized geometry", "crystal_system": "orthorhombic", "formation_energy_ev_per_atom": -3.8249, "e_tot_ev_per_atom": -5.33, "energy_corrected_mp2020_ev_per_atom": -5.635, "lattice_angstrom": [[4.644, 0.000, 0.000], [0.000, 4.735, 0.000], [0.000, 0.000, 3.092]], "species": ["Mg", "Mg", "F", "F", "F", "F"], "frac_coords": [[0.000, 0.000, 0.000], [0.500, 0.500, 0.500], [0.214, 0.180, 0.500], [0.286, 0.680, 0.000], [0.714, 0.320, 0.000], [0.786, 0.820, 0.500]]}

---

(11)
{"formula": "CsMg14W", "functional": "PBE-GGA", "state": "optimized geometry", "crystal_system": "orthorhombic", "formation_energy_ev_per_atom": 0.3608, "e_tot_ev_per_atom": -1.91, "e_above_lowest_polymorph_mev_per_atom": 28, "lattice_angstrom": [[10.438, 0.000, 0.000], [0.000, 3.282, 5.525], [0.000, -3.282, 5.525]], "species": ["Cs", "Mg", "Mg", "Mg", "Mg", "Mg", "Mg", "Mg", "Mg", "Mg", "Mg", "Mg", "Mg", "Mg", "Mg", "W"], "frac_coords": [[0.000, 0.000, 0.000], [0.000, 0.001, 0.495], [0.000, 0.495, 0.001], [0.235, 0.655, 0.655], [0.253, 0.182, 0.643], [0.253, 0.643, 0.182], [0.272, 0.169, 0.169], [0.500, 0.495, 0.495], [0.500, 0.502, 0.989], [0.500, 0.989, 0.502], [0.500, 0.992, 0.992], [0.728, 0.169, 0.169], [0.747, 0.182, 0.643], [0.747, 0.643, 0.182], [0.765, 0.655, 0.655], [0.000, 0.482, 0.482]]}